P.
# PBE with a Hubbard U Mn2CuO4, optimized geometry
# Total magnetic moment (μB per atom): 0.01
data_Mn2CuO4
_chemical_formula_sum 'Mn4 Cu2 O8'
_space_group_name_H-M_alt 'P 1'
_space_group_IT_number 1
_space_group_name_Hall 'P 1'
_cell_length_a 5.959
_cell_length_b 5.959
_cell_length_c 5.959
_cell_angle_alpha 118.42
_cell_angle_beta 118.42
_cell_angle_gamma 92.77
loop_
_atom_site_label
_atom_site_type_symbol
_atom_site_fract_x
_atom_site_fract_y
_atom_site_fract_z
Mn1 Mn 0.000 0.000 0.000
Mn2 Mn 0.000 0.000 0.500
Mn3 Mn 0.000 0.500 0.000
Mn4 Mn 0.500 0.000 0.500
Cu1 Cu 0.375 0.625 0.750
Cu2 Cu 0.625 0.375 0.250
O1 O 0.216 0.237 0.979
O2 O 0.237 0.216 0.479
O3 O 0.237 0.759 0.021
O4 O 0.241 0.763 0.479
O5 O 0.759 0.237 0.521
O6 O 0.763 0.241 0.979
O7 O 0.763 0.784 0.521
O8 O 0.784 0.763 0.021

=====

Q.
# PBE with a Hubbard U Mn2CuO4, optimized geometry
# Total magnetic moment (μB per atom): 1.00
data_Mn2CuO4
_chemical_formula_sum 'Mn16 Cu8 O32'
_space_group_name_H-M_alt 'P 1'
_space_group_IT_number 1
_space_group_name_Hall 'P 1'
_cell_length_a 19.788
_cell_length_b 19.788
_cell_length_c 19.788
_cell_angle_alpha 16.97
_cell_angle_beta 16.97
_cell_angle_gamma 16.97
loop_
_atom_site_label
_atom_site_type_symbol
_atom_site_fract_x
_atom_site_fract_y
_atom_site_fract_z
Mn1 Mn 0.000 0.000 0.000
Mn2 Mn 0.028 0.028 0.533
Mn3 Mn 0.028 0.533 0.028
Mn4 Mn 0.034 0.532 0.532
Mn5 Mn 0.155 0.155 0.155
Mn6 Mn 0.249 0.249 0.249
Mn7 Mn 0.281 0.281 0.781
Mn8 Mn 0.281 0.781 0.281
Mn9 Mn 0.286 0.779 0.779
Mn10 Mn 0.407 0.407 0.407
Mn11 Mn 0.532 0.034 0.532
Mn12 Mn 0.532 0.532 0.034
Mn13 Mn 0.533 0.028 0.028
Mn14 Mn 0.779 0.286 0.779
Mn15 Mn 0.779 0.779 0.286
Mn16 Mn 0.781 0.281 0.281
Cu1 Cu 0.063 0.063 0.063
Cu2 Cu 0.313 0.313 0.313
Cu3 Cu 0.499 0.499 0.499
Cu4 Cu 0.561 0.561 0.561
Cu5 Cu 0.657 0.657 0.657
Cu6 Cu 0.750 0.750 0.750
Cu7 Cu 0.812 0.812 0.812
Cu8 Cu 0.905 0.905 0.905
O1 O 0.083 0.083 0.621
O2 O 0.083 0.621 0.083
O3 O 0.097 0.097 0.097
O4 O 0.131 0.577 0.577
O5 O 0.188 0.727 0.727
O6 O 0.214 0.214 0.214
O7 O 0.237 0.237 0.681
O8 O 0.237 0.681 0.237
O9 O 0.325 0.325 0.881
O10 O 0.325 0.881 0.325
O11 O 0.348 0.348 0.348
O12 O 0.369 0.837 0.837
O13 O 0.431 0.985 0.985
O14 O 0.465 0.465 0.465
O15 O 0.480 0.480 0.938
O16 O 0.480 0.938 0.480
O17 O 0.577 0.131 0.577
O18 O 0.577 0.577 0.131
O19 O 0.596 0.596 0.596
O20 O 0.621 0.083 0.083
O21 O 0.681 0.237 0.237
O22 O 0.716 0.716 0.716
O23 O 0.727 0.188 0.727
O24 O 0.727 0.727 0.188
O25 O 0.837 0.369 0.837
O26 O 0.837 0.837 0.369
O27 O 0.846 0.846 0.846
O28 O 0.881 0.325 0.325
O29 O 0.938 0.480 0.480
O30 O 0.965 0.965 0.965
O31 O 0.985 0.431 0.985
O32 O 0.985 0.985 0.431

=====

Most favorable structure: P. The second most favorable one is 50 meV per atom above it.

=====

P.
# PBE with a Hubbard U Li2CrFe3O8, optimized geometry
# Total magnetic moment (μB per atom): 0.98
data_Li2CrFe3O8
_chemical_formula_sum 'Li2 Cr1 Fe3 O8'
_space_group_name_H-M_alt 'P 1'
_space_group_IT_number 1
_space_group_name_Hall 'P 1'
_cell_length_a 5.966
_cell_length_b 5.966
_cell_length_c 5.966
_cell_angle_alpha 59.83
_cell_angle_beta 59.83
_cell_angle_gamma 59.83
loop_
_atom_site_label
_atom_site_type_symbol
_atom_site_fract_x
_atom_site_fract_y
_atom_site_fract_z
Li1 Li 0.124 0.124 0.124
Li2 Li 0.876 0.876 0.876
Cr1 Cr 0.500 0.500 0.500
Fe1 Fe 0.000 0.500 0.500
Fe2 Fe 0.500 0.000 0.500
Fe3 Fe 0.500 0.500 0.000
O1 O 0.261 0.261 0.261
O2 O 0.261 0.261 0.713
O3 O 0.261 0.713 0.261
O4 O 0.287 0.739 0.739
O5 O 0.713 0.261 0.261
O6 O 0.739 0.287 0.739
O7 O 0.739 0.739 0.287
O8 O 0.739 0.739 0.739

=====

Q.
# PBE with a Hubbard U Li2CrFe3O8, optimized geometry
# Total magnetic moment (μB per atom): 1.14
data_Li2CrFe3O8
_chemical_formula_sum 'Li4 Cr2 Fe6 O16'
_space_group_name_H-M_alt 'P 1'
_space_group_IT_number 1
_space_group_name_Hall 'P 1'
_cell_length_a 5.890
_cell_length_b 5.890
_cell_length_c 9.600
_cell_angle_alpha 90.00
_cell_angle_beta 90.00
_cell_angle_gamma 119.55
loop_
_atom_site_label
_atom_site_type_symbol
_atom_site_fract_x
_atom_site_fract_y
_atom_site_fract_z
Li1 Li 0.000 0.000 0.000
Li2 Li 0.000 0.000 0.500
Li3 Li 0.332 0.668 0.603
Li4 Li 0.668 0.332 0.103
Cr1 Cr 0.336 0.664 0.013
Cr2 Cr 0.664 0.336 0.513
Fe1 Fe 0.169 0.338 0.285
Fe2 Fe 0.169 0.831 0.284
Fe3 Fe 0.338 0.169 0.785
Fe4 Fe 0.662 0.831 0.285
Fe5 Fe 0.831 0.169 0.784
Fe6 Fe 0.831 0.662 0.785
O1 O 0.000 0.000 0.187
O2 O 0.000 0.000 0.687
O3 O 0.042 0.517 0.156
O4 O 0.166 0.834 0.898
O5 O 0.167 0.327 0.896
O6 O 0.327 0.167 0.396
O7 O 0.333 0.667 0.395
O8 O 0.481 0.519 0.156
O9 O 0.483 0.958 0.156
O10 O 0.517 0.042 0.656
O11 O 0.519 0.481 0.656
O12 O 0.667 0.333 0.895
O13 O 0.673 0.833 0.896
O14 O 0.833 0.673 0.396
O15 O 0.834 0.166 0.398
O16 O 0.958 0.483 0.656

=====

Most favorable structure: Q. The second most favorable one is 66 meV per atom above it.

=====

P.
# PBE with a Hubbard U SrMgMoO3, optimized geometry
# Total magnetic moment (μB per atom): 0.34
data_SrMgMoO3
_chemical_formula_sum 'Sr1 Mg1 Mo1 O3'
_space_group_name_H-M_alt 'P 1'
_space_group_IT_number 1
_space_group_name_Hall 'P 1'
_cell_length_a 4.507
_cell_length_b 4.507
_cell_length_c 4.519
_cell_angle_alpha 99.48
_cell_angle_beta 99.48
_cell_angle_gamma 80.63
loop_
_atom_site_label
_atom_site_type_symbol
_atom_site_fract_x
_atom_site_fract_y
_atom_site_fract_z
Sr1 Sr 0.000 0.000 0.000
Mg1 Mg 0.655 0.655 0.349
Mo1 Mo 0.356 0.356 0.647
O1 O 0.370 0.370 0.140
O2 O 0.371 0.862 0.636
O3 O 0.862 0.371 0.636

=====

Q.
# PBE with a Hubbard U SrMgMoO3, optimized geometry
# Total magnetic moment (μB per atom): 0.60
data_SrMgMoO3
_chemical_formula_sum 'Sr1 Mg1 Mo1 O3'
_space_group_name_H-M_alt 'P 1'
_space_group_IT_number 1
_space_group_name_Hall 'P 1'
_cell_length_a 4.120
_cell_length_b 4.120
_cell_length_c 6.506
_cell_angle_alpha 90.00
_cell_angle_beta 90.00
_cell_angle_gamma 90.00
loop_
_atom_site_label
_atom_site_type_symbol
_atom_site_fract_x
_atom_site_fract_y
_atom_site_fract_z
Sr1 Sr 0.000 0.000 0.000
Mg1 Mg 0.000 0.000 0.500
Mo1 Mo 0.500 0.500 0.500
O1 O 0.000 0.500 0.500
O2 O 0.500 0.000 0.500
O3 O 0.500 0.500 0.000

=====

Most favorable structure: P. The second most favorable one is 294 meV per atom above it.

=====

P.
# PBE with a Hubbard U CoH2O2, optimized geometry
# Total magnetic moment (μB per atom): 0.60
data_CoH2O2
_chemical_formula_sum 'Co4 H8 O8'
_space_group_name_H-M_alt 'P 1'
_space_group_IT_number 1
_space_group_name_Hall 'P 1'
_cell_length_a 3.220
_cell_length_b 5.555
_cell_length_c 10.006
_cell_angle_alpha 73.95
_cell_angle_beta 81.20
_cell_angle_gamma 89.72
loop_
_atom_site_label
_atom_site_type_symbol
_atom_site_fract_x
_atom_site_fract_y
_atom_site_fract_z
Co1 Co 0.000 0.000 0.000
Co2 Co 0.249 0.249 0.500
Co3 Co 0.500 0.500 0.000
Co4 Co 0.750 0.750 0.500
H1 H 0.108 0.777 0.788
H2 H 0.140 0.475 0.712
H3 H 0.351 0.027 0.288
H4 H 0.381 0.723 0.212
H5 H 0.607 0.274 0.788
H6 H 0.646 0.970 0.712
H7 H 0.842 0.528 0.287
H8 H 0.884 0.226 0.212
O1 O 0.058 0.723 0.890
O2 O 0.193 0.526 0.609
O3 O 0.306 0.974 0.390
O4 O 0.442 0.776 0.110
O5 O 0.556 0.223 0.890
O6 O 0.701 0.025 0.610
O7 O 0.797 0.474 0.390
O8 O 0.941 0.277 0.109

=====

Q.
# PBE with a Hubbard U CoH2O2, optimized geometry
# Total magnetic moment (μB per atom): 0.00
data_CoH2O2
_chemical_formula_sum 'Co4 H8 O8'
_space_group_name_H-M_alt 'P 1'
_space_group_IT_number 1
_space_group_name_Hall 'P 1'
_cell_length_a 5.574
_cell_length_b 6.400
_cell_length_c 6.477
_cell_angle_alpha 111.98
_cell_angle_beta 121.06
_cell_angle_gamma 91.26
loop_
_atom_site_label
_atom_site_type_symbol
_atom_site_fract_x
_atom_site_fract_y
_atom_site_fract_z
O1 O 0.493 0.064 0.186
O2 O 0.075 0.141 0.767
O3 O 0.575 0.393 0.766
O4 O 0.075 0.641 0.767
O5 O 0.575 0.893 0.766
O6 O 0.993 0.313 0.186
O7 O 0.993 0.813 0.187
O8 O 0.492 0.564 0.186
Co1 Co 0.534 0.229 0.976
Co2 Co 0.534 0.729 0.976
Co3 Co 0.033 0.977 0.976
Co4 Co 0.033 0.477 0.976
H1 H 0.116 0.898 0.382
H2 H 0.617 0.648 0.382
H3 H 0.617 0.148 0.382
H4 H 0.955 0.054 0.571
H5 H 0.955 0.555 0.571
H6 H 0.116 0.398 0.382
H7 H 0.456 0.306 0.570
H8 H 0.456 0.807 0.570

=====

Most favorable structure: P. The second most favorable one is 7 meV per atom above it.

=====

P.
# PBE with a Hubbard U LiFe5O8, optimized geometry
# Total magnetic moment (μB per atom): 1.79
data_LiFe5O8
_chemical_formula_sum 'Li1 Fe5 O8'
_space_group_name_H-M_alt 'P 1'
_space_group_IT_number 1
_space_group_name_Hall 'P 1'
_cell_length_a 5.820
_cell_length_b 5.820
_cell_length_c 5.820
_cell_angle_alpha 60.00
_cell_angle_beta 60.00
_cell_angle_gamma 60.00
loop_
_atom_site_label
_atom_site_type_symbol
_atom_site_fract_x
_atom_site_fract_y
_atom_site_fract_z
Li1 Li 0.000 0.000 0.000
Fe1 Fe 0.373 0.373 0.373
Fe2 Fe 0.373 0.373 0.882
Fe3 Fe 0.373 0.882 0.373
Fe4 Fe 0.750 0.750 0.750
Fe5 Fe 0.882 0.373 0.373
O1 O 0.138 0.138 0.138
O2 O 0.138 0.138 0.586
O3 O 0.138 0.586 0.138
O4 O 0.155 0.615 0.615
O5 O 0.586 0.138 0.138
O6 O 0.615 0.155 0.615
O7 O 0.615 0.615 0.155
O8 O 0.615 0.615 0.615

=====

Q.
# PBE with a Hubbard U LiFe5O8, optimized geometry
# Total magnetic moment (μB per atom): 1.79
data_LiFe5O8
_chemical_formula_sum 'Li8 Fe40 O64'
_space_group_name_H-M_alt 'P 1'
_space_group_IT_number 1
_space_group_name_Hall 'P 1'
_cell_length_a 8.377
_cell_length_b 8.414
_cell_length_c 16.766
_cell_angle_alpha 90.23
_cell_angle_beta 90.21
_cell_angle_gamma 90.07
loop_
_atom_site_label
_atom_site_type_symbol
_atom_site_fract_x
_atom_site_fract_y
_atom_site_fract_z
Li1 Li 0.000 0.000 0.000
Li2 Li 0.001 0.004 0.499
Li3 Li 0.002 0.241 0.619
Li4 Li 0.253 0.249 0.250
Li5 Li 0.494 0.250 0.370
Li6 Li 0.498 0.749 0.621
Li7 Li 0.500 0.751 0.123
Li8 Li 0.502 0.246 0.872
Fe1 Fe 0.000 0.494 0.742
Fe2 Fe 0.117 0.369 0.436
Fe3 Fe 0.118 0.873 0.184
Fe4 Fe 0.119 0.370 0.937
Fe5 Fe 0.122 0.870 0.683
Fe6 Fe 0.247 0.008 0.374
Fe7 Fe 0.248 0.752 0.499
Fe8 Fe 0.251 0.498 0.622
Fe9 Fe 0.251 0.751 0.000
Fe10 Fe 0.252 0.497 0.127
Fe11 Fe 0.253 0.005 0.876
Fe12 Fe 0.253 0.246 0.745
Fe13 Fe 0.379 0.625 0.310
Fe14 Fe 0.379 0.628 0.811
Fe15 Fe 0.380 0.124 0.062
Fe16 Fe 0.382 0.127 0.561
Fe17 Fe 0.498 0.001 0.246
Fe18 Fe 0.499 0.498 0.999
Fe19 Fe 0.500 0.999 0.747
Fe20 Fe 0.502 0.498 0.497
Fe21 Fe 0.618 0.366 0.681
Fe22 Fe 0.618 0.878 0.936
Fe23 Fe 0.620 0.868 0.433
Fe24 Fe 0.626 0.369 0.185
Fe25 Fe 0.742 0.749 0.744
Fe26 Fe 0.747 0.490 0.873
Fe27 Fe 0.750 0.500 0.371
Fe28 Fe 0.751 0.243 0.999
Fe29 Fe 0.751 0.746 0.247
Fe30 Fe 0.752 0.996 0.122
Fe31 Fe 0.753 0.247 0.496
Fe32 Fe 0.754 0.996 0.617
Fe33 Fe 0.875 0.124 0.810
Fe34 Fe 0.878 0.126 0.310
Fe35 Fe 0.879 0.627 0.063
Fe36 Fe 0.881 0.626 0.558
Fe37 Fe 0.997 0.747 0.371
Fe38 Fe 0.997 0.754 0.876
Fe39 Fe 0.999 0.246 0.123
Fe40 Fe 0.999 0.496 0.249
O1 O 0.004 0.484 0.130
O2 O 0.005 0.978 0.369
O3 O 0.009 0.744 0.487
O4 O 0.009 0.989 0.872
O5 O 0.010 0.258 0.747
O6 O 0.014 0.748 0.995
O7 O 0.015 0.502 0.627
O8 O 0.231 0.504 0.244
O9 O 0.232 0.257 0.119
O10 O 0.232 0.751 0.375
O11 O 0.242 0.739 0.115
O12 O 0.243 0.756 0.880
O13 O 0.244 0.239 0.372
O14 O 0.246 0.492 0.742
O15 O 0.248 0.730 0.618
O16 O 0.250 0.241 0.870
O17 O 0.250 0.265 0.626
O18 O 0.251 0.989 0.495
O19 O 0.255 0.985 0.994
O20 O 0.256 0.512 0.001
O21 O 0.258 0.500 0.504
O22 O 0.258 0.994 0.249
O23 O 0.262 0.005 0.750
O24 O 0.484 0.501 0.619
O25 O 0.485 0.739 0.997
O26 O 0.489 0.734 0.497
O27 O 0.490 0.498 0.119
O28 O 0.491 0.998 0.863
O29 O 0.491 0.999 0.367
O30 O 0.493 0.231 0.748
O31 O 0.502 0.239 0.247
O32 O 0.508 0.763 0.748
O33 O 0.509 0.998 0.631
O34 O 0.510 0.498 0.876
O35 O 0.516 0.258 0.998
O36 O 0.517 0.499 0.375
O37 O 0.518 0.259 0.497
O38 O 0.519 0.752 0.247
O39 O 0.519 0.996 0.126
O40 O 0.737 0.992 0.744
O41 O 0.743 0.505 0.491
O42 O 0.745 0.488 0.996
O43 O 0.745 0.994 0.502
O44 O 0.746 0.010 0.005
O45 O 0.748 0.982 0.242
O46 O 0.750 0.754 0.627
O47 O 0.751 0.240 0.616
O48 O 0.753 0.254 0.881
O49 O 0.754 0.504 0.750
O50 O 0.756 0.266 0.378
O51 O 0.756 0.741 0.870
O52 O 0.757 0.761 0.130
O53 O 0.761 0.736 0.365
O54 O 0.762 0.234 0.117
O55 O 0.763 0.510 0.253
O56 O 0.980 0.248 0.498
O57 O 0.984 0.013 0.125
O58 O 0.984 0.248 0.005
O59 O 0.985 0.511 0.366
O60 O 0.986 0.995 0.624
O61 O 0.987 0.733 0.253
O62 O 0.988 0.738 0.753
O63 O 0.991 0.266 0.240
O64 O 0.991 0.508 0.869

=====

Most favorable structure: Q. The second most favorable one is 48 meV per atom above it.

=====

P.
# PBE with a Hubbard U MgW2O4, optimized geometry
# Total magnetic moment (μB per atom): 0.86
data_MgW2O4
_chemical_formula_sum 'Mg2 W4 O8'
_space_group_name_H-M_alt 'P 1'
_space_group_IT_number 1
_space_group_name_Hall 'P 1'
_cell_length_a 6.352
_cell_length_b 6.352
_cell_length_c 6.352
_cell_angle_alpha 121.20
_cell_angle_beta 117.89
_cell_angle_gamma 90.81
loop_
_atom_site_label
_atom_site_type_symbol
_atom_site_fract_x
_atom_site_fract_y
_atom_site_fract_z
Mg1 Mg 0.000 0.000 0.000
Mg2 Mg 0.500 0.000 0.500
W1 W 0.000 0.000 0.500
W2 W 0.000 0.500 0.000
W3 W 0.400 0.650 0.750
W4 W 0.600 0.350 0.250
O1 O 0.212 0.235 0.977
O2 O 0.242 0.765 0.477
O3 O 0.245 0.232 0.487
O4 O 0.245 0.757 0.013
O5 O 0.755 0.243 0.987
O6 O 0.755 0.768 0.513
O7 O 0.758 0.235 0.523
O8 O 0.788 0.765 0.023

=====

Q.
MgW2O4 | PBE with a Hubbard U | optimized geometry

CIF file:
```
data_MgW2O4
_chemical_formula_sum 'Mg6 W12 O24'
_space_group_name_H-M_alt 'P 1'
_space_group_IT_number 1
_space_group_name_Hall 'P 1'
_cell_length_a 6.334
_cell_length_b 6.334
_cell_length_c 15.521
_cell_angle_alpha 91.04
_cell_angle_beta 91.04
_cell_angle_gamma 61.68
loop_
_atom_site_label
_atom_site_type_symbol
_atom_site_fract_x
_atom_site_fract_y
_atom_site_fract_z
Mg1 Mg 0.000 0.000 0.000
Mg2 Mg 0.003 0.003 0.616
Mg3 Mg 0.165 0.165 0.165
Mg4 Mg 0.329 0.329 0.332
Mg5 Mg 0.495 0.495 0.500
Mg6 Mg 0.842 0.842 0.828
W1 W 0.002 0.489 0.495
W2 W 0.168 0.659 0.168
W3 W 0.334 0.334 0.727
W4 W 0.338 0.841 0.829
W5 W 0.343 0.343 0.918
W6 W 0.489 0.002 0.495
W7 W 0.659 0.168 0.168
W8 W 0.660 0.660 0.071
W9 W 0.669 0.669 0.655
W10 W 0.704 0.704 0.299
W11 W 0.841 0.338 0.829
W12 W 0.956 0.956 0.365
O1 O 0.000 0.000 0.753
O2 O 0.007 0.007 0.240
O3 O 0.016 0.474 0.243
O4 O 0.156 0.703 0.912
O5 O 0.157 0.157 0.915
O6 O 0.174 0.174 0.412
O7 O 0.188 0.642 0.419
O8 O 0.300 0.846 0.084
O9 O 0.328 0.328 0.095
O10 O 0.331 0.331 0.574
O11 O 0.350 0.821 0.576
O12 O 0.474 0.016 0.243
O13 O 0.479 0.479 0.249
O14 O 0.516 0.978 0.742
O15 O 0.517 0.517 0.744
O16 O 0.642 0.188 0.419
O17 O 0.654 0.654 0.423
O18 O 0.681 0.681 0.892
O19 O 0.703 0.156 0.912
O20 O 0.821 0.350 0.576
O21 O 0.825 0.825 0.573
O22 O 0.845 0.845 0.081
O23 O 0.846 0.300 0.084
O24 O 0.978 0.516 0.742
```

=====

Most favorable structure: Q. The second most favorable one is 91 meV per atom above it.